[1]
Here is a relaxed Nd2InAu2 crystal from Materials Project. Energies are from PBE.

## Properties
ρ: 10.3 Mg/m³
Crystal system: tetragonal
DFT formation energy: -0.7723 eV per atom
Space group: P4/mbm (127)
Total DFT energy (no corrections): -22.70 eV/f.u.

Lattice parameters (Å, degrees): 8.1816 8.1816 3.8543 90.00 90.00 90.00
With the nearest neighbours (Å) after each atom.
Fractional coordinates of all 10 atoms:
Nd (0.1734, 0.3266, 0.0000)  6 Au 3.02-3.14
Nd (0.3266, 0.8266, 0.0000)  6 Au 3.02-3.14
Nd (0.6734, 0.1734, 0.0000)  6 Au 3.02-3.14
Nd (0.8266, 0.6734, 0.0000)  6 Au 3.02-3.14
In (0.0000, 0.0000, 0.5000)  4 Au 3.23, 8 Nd 3.59
In (0.5000, 0.5000, 0.5000)  4 Au 3.23, 8 Nd 3.59
Au (0.1262, 0.6262, 0.5000)  1 Au 2.92, 6 Nd 3.02-3.14, 2 In 3.23
Au (0.3738, 0.1262, 0.5000)  1 Au 2.92, 6 Nd 3.02-3.14, 2 In 3.23
Au (0.6262, 0.8738, 0.5000)  1 Au 2.92, 6 Nd 3.02-3.14, 2 In 3.23
Au (0.8738, 0.3738, 0.5000)  1 Au 2.92, 6 Nd 3.02-3.14, 2 In 3.23

=====

[2]
Here is a relaxed PaInAu2 crystal from Materials Project. Energies are from PBE.

## Properties
ρ: 13.9 Mg/m³
Crystal system: cubic
DFT formation energy: -0.4143 eV per atom
Space group: Fm-3m (225)
Total DFT energy (no corrections): -20.47 eV/f.u.

Lattice parameters (Å, degrees): 4.9944 4.9944 4.9944 60.00 60.00 60.00
With the nearest neighbours (Å) after each atom.
Fractional coordinates of all 4 atoms:
Pa (0.0000, 0.0000, 0.0000)  8 Au 3.06
In (0.5000, 0.5000, 0.5000)  8 Au 3.06
Au (0.2500, 0.2500, 0.2500)  4 In 3.06, 4 Pa 3.06
Au (0.7500, 0.7500, 0.7500)  4 In 3.06, 4 Pa 3.06

=====

[3]
Here is a relaxed PrIn4Au2 crystal from Materials Project. Energies are from PBE.

## Properties
Total moment: 0.0000 μB/atom
ρ: 9.8 Mg/m³
Crystal system: orthorhombic
DFT formation energy: -0.4237 eV per atom
Space group: Pnma (62)
Total DFT energy (no corrections): -25.30 eV/f.u.

Lattice parameters (Å, degrees): 18.9618 4.7365 7.5079 90.00 90.00 90.00
With the nearest neighbours (Å) after each atom.
Fractional coordinates of all 28 atoms:
Pr (0.1417, 0.2500, 0.0262)  9 In 3.35-3.62, 4 Au 3.46-3.55
Pr (0.3583, 0.7500, 0.5262)  9 In 3.35-3.62, 4 Au 3.46-3.55
Pr (0.6417, 0.2500, 0.4738)  9 In 3.35-3.62, 4 Au 3.46-3.55
Pr (0.8583, 0.7500, 0.9738)  9 In 3.35-3.62, 4 Au 3.46-3.55
In (0.0352, 0.7500, 0.8507)  3 Au 2.85-2.94, 1 In 3.03
In (0.0687, 0.2500, 0.4915)  4 Au 2.86-3.07
In (0.1849, 0.7500, 0.3256)  4 Au 2.83-2.91, 1 In 3.07
In (0.1883, 0.7500, 0.7344)  3 Au 2.85-2.87, 2 In 3.03-3.07
In (0.3117, 0.2500, 0.2344)  3 Au 2.85-2.87, 2 In 3.03-3.07
In (0.3151, 0.2500, 0.8256)  4 Au 2.83-2.91, 1 In 3.07
In (0.4313, 0.7500, 0.9915)  4 Au 2.86-3.07
In (0.4648, 0.2500, 0.3507)  3 Au 2.85-2.94, 1 In 3.03
In (0.5352, 0.7500, 0.6493)  3 Au 2.85-2.94, 1 In 3.03
In (0.5687, 0.2500, 0.0085)  4 Au 2.86-3.07
In (0.6849, 0.7500, 0.1744)  4 Au 2.83-2.91, 1 In 3.07
In (0.6883, 0.7500, 0.7656)  3 Au 2.85-2.87, 2 In 3.03-3.07
In (0.8117, 0.2500, 0.2656)  3 Au 2.85-2.87, 2 In 3.03-3.07
In (0.8151, 0.2500, 0.6744)  4 Au 2.83-2.91, 1 In 3.07
In (0.9313, 0.7500, 0.5085)  4 Au 2.86-3.07
In (0.9648, 0.2500, 0.1493)  3 Au 2.85-2.94, 1 In 3.03
Au (0.0396, 0.7500, 0.2426)  7 In 2.83-3.07
Au (0.2190, 0.2500, 0.5327)  7 In 2.85-2.91
Au (0.2810, 0.7500, 0.0327)  7 In 2.85-2.91
Au (0.4604, 0.2500, 0.7426)  7 In 2.83-3.07
Au (0.5396, 0.7500, 0.2574)  7 In 2.83-3.07
Au (0.7190, 0.2500, 0.9673)  7 In 2.85-2.91
Au (0.7810, 0.7500, 0.4673)  7 In 2.85-2.91
Au (0.9604, 0.2500, 0.7574)  7 In 2.83-3.07

=====

[4]
Here is a relaxed PuInAu2 crystal from Materials Project. Energies are from PBE.

## Properties
ρ: 14.2 Mg/m³
Crystal system: cubic
DFT formation energy: -0.4199 eV per atom
Space group: Fm-3m (225)
Total DFT energy (no corrections): -25.25 eV/f.u.

Lattice parameters (Å, degrees): 4.9970 4.9970 4.9970 60.00 60.00 60.00
With the nearest neighbours (Å) after each atom.
Fractional coordinates of all 4 atoms:
Pu (0.0000, 0.0000, 0.0000)  8 Au 3.06
In (0.5000, 0.5000, 0.5000)  8 Au 3.06
Au (0.2500, 0.2500, 0.2500)  4 In 3.06, 4 Pu 3.06
Au (0.7500, 0.7500, 0.7500)  4 In 3.06, 4 Pu 3.06

=====

[5]
Here is a relaxed Sc2InAu2 crystal from Materials Project. Energies are from PBE.

## Properties
ρ: 9.6 Mg/m³
Crystal system: tetragonal
DFT formation energy: -0.7360 eV per atom
Space group: P4_2/mnm (136)
Total DFT energy (no corrections): -25.64 eV/f.u.

Lattice parameters (Å, degrees): 7.7381 7.7381 6.9160 90.00 90.00 90.00
With the nearest neighbours (Å) after each atom.
Fractional coordinates of all 20 atoms:
Sc (0.1546, 0.1546, 0.0000)  6 Au 2.82-2.92
Sc (0.1803, 0.1803, 0.5000)  6 Au 2.81-2.89
Sc (0.3197, 0.6803, 0.0000)  6 Au 2.81-2.89
Sc (0.3454, 0.6546, 0.5000)  6 Au 2.82-2.92
Sc (0.6546, 0.3454, 0.5000)  6 Au 2.82-2.92
Sc (0.6803, 0.3197, 0.0000)  6 Au 2.81-2.89
Sc (0.8197, 0.8197, 0.5000)  6 Au 2.81-2.89
Sc (0.8454, 0.8454, 0.0000)  6 Au 2.82-2.92
In (0.0000, 0.5000, 0.2500)  4 Au 3.04, 8 Sc 3.33-3.40
In (0.0000, 0.5000, 0.7500)  4 Au 3.04, 8 Sc 3.33-3.40
In (0.5000, 0.0000, 0.2500)  4 Au 3.04, 8 Sc 3.33-3.40
In (0.5000, 0.0000, 0.7500)  4 Au 3.04, 8 Sc 3.33-3.40
Au (0.1306, 0.8694, 0.2753)  6 Sc 2.81-2.92, 2 Au 2.86-3.11, 2 In 3.04
Au (0.1306, 0.8694, 0.7247)  6 Sc 2.81-2.92, 2 Au 2.86-3.11, 2 In 3.04
Au (0.3694, 0.3694, 0.2247)  6 Sc 2.81-2.92, 2 Au 2.86-3.11, 2 In 3.04
Au (0.3694, 0.3694, 0.7753)  6 Sc 2.81-2.92, 2 Au 2.86-3.11, 2 In 3.04
Au (0.6306, 0.6306, 0.2247)  6 Sc 2.81-2.92, 2 Au 2.86-3.11, 2 In 3.04
Au (0.6306, 0.6306, 0.7753)  6 Sc 2.81-2.92, 2 Au 2.86-3.11, 2 In 3.04
Au (0.8694, 0.1306, 0.2753)  6 Sc 2.81-2.92, 2 Au 2.86-3.11, 2 In 3.04
Au (0.8694, 0.1306, 0.7247)  6 Sc 2.81-2.92, 2 Au 2.86-3.11, 2 In 3.04

=====

[6]
Here is a relaxed Sm2InAu2 crystal from Materials Project. Energies are from PBE.

## Properties
ρ: 10.7 Mg/m³
Crystal system: tetragonal
DFT formation energy: -0.7894 eV per atom
Space group: P4/mbm (127)
Total DFT energy (no corrections): -22.68 eV/f.u.

Lattice parameters (Å, degrees): 8.1472 8.1472 3.8008 90.00 90.00 90.00
With the nearest neighbours (Å) after each atom.
Fractional coordinates of all 10 atoms:
Sm (0.1734, 0.3266, 0.0000)  6 Au 2.99-3.12
Sm (0.3266, 0.8266, 0.0000)  6 Au 2.99-3.12
Sm (0.6734, 0.1734, 0.0000)  6 Au 2.99-3.12
Sm (0.8266, 0.6734, 0.0000)  6 Au 2.99-3.12
In (0.0000, 0.0000, 0.5000)  4 Au 3.21, 8 Sm 3.56
In (0.5000, 0.5000, 0.5000)  4 Au 3.21, 8 Sm 3.56
Au (0.1262, 0.6262, 0.5000)  1 Au 2.91, 6 Sm 2.99-3.12, 2 In 3.21
Au (0.3738, 0.1262, 0.5000)  1 Au 2.91, 6 Sm 2.99-3.12, 2 In 3.21
Au (0.6262, 0.8738, 0.5000)  1 Au 2.91, 6 Sm 2.99-3.12, 2 In 3.21
Au (0.8738, 0.3738, 0.5000)  1 Au 2.91, 6 Sm 2.99-3.12, 2 In 3.21

=====

[7]
Here is a relaxed SmInAu crystal from Materials Project. Energies are from PBE.

## Properties
ρ: 10.5 Mg/m³
Crystal system: hexagonal
DFT formation energy: -0.7390 eV per atom
Space group: P-62m (189)
Total DFT energy (no corrections): -12.96 eV/f.u.

Lattice parameters (Å, degrees): 7.8349 7.8349 4.1255 90.00 90.00 120.00
With the nearest neighbours (Å) after each atom.
Fractional coordinates of all 9 atoms:
Sm (0.0000, 0.5900, 0.0000)  5 Au 3.14-3.21, 6 In 3.34-3.49
Sm (0.4100, 0.4100, 0.0000)  5 Au 3.14-3.21, 6 In 3.34-3.49
Sm (0.5900, 0.0000, 0.0000)  5 Au 3.14-3.21, 6 In 3.34-3.49
In (0.0000, 0.2554, 0.5000)  4 Au 2.87-2.96
In (0.2554, 0.0000, 0.5000)  4 Au 2.87-2.96
In (0.7446, 0.7446, 0.5000)  4 Au 2.87-2.96
Au (0.0000, 0.0000, 0.0000)  6 In 2.87, 3 Sm 3.21
Au (0.3333, 0.6667, 0.5000)  3 In 2.96, 6 Sm 3.14
Au (0.6667, 0.3333, 0.5000)  3 In 2.96, 6 Sm 3.14

=====

[8]
Here is a relaxed SmInAu2 crystal from Materials Project. Energies are from PBE.

## Properties
ρ: 12.2 Mg/m³
Crystal system: cubic
DFT formation energy: -0.6963 eV per atom
Space group: Fm-3m (225)
Total DFT energy (no corrections): -16.80 eV/f.u.

Lattice parameters (Å, degrees): 5.0232 5.0232 5.0232 60.00 60.00 60.00
With the nearest neighbours (Å) after each atom.
Fractional coordinates of all 4 atoms:
Sm (0.0000, 0.0000, 0.0000)  8 Au 3.08
In (0.5000, 0.5000, 0.5000)  8 Au 3.08
Au (0.2500, 0.2500, 0.2500)  4 In 3.08, 4 Sm 3.08
Au (0.7500, 0.7500, 0.7500)  4 In 3.08, 4 Sm 3.08